First-principles (PBE with a Hubbard U) data for a relaxed LiVSO4F3 crystal, as listed in the Materials Project.

abc: 7.166 7.880 10.262
angles: 88.62 88.91 86.97
Space group P1 (No. 1)
Symmetry-distinct sites (fractional):
Li 0.000 0.000 0.000 (multiplicity 1)
Li 0.001 0.515 0.078 (multiplicity 1)
Li 0.329 0.211 0.555 (multiplicity 1)
Li 0.842 0.985 0.540 (multiplicity 1)
V 0.126 0.096 0.280 (multiplicity 1)
V 0.136 0.595 0.772 (multiplicity 1)
V 0.626 0.099 0.273 (multiplicity 1)
V 0.636 0.600 0.782 (multiplicity 1)
S 0.355 0.427 0.290 (multiplicity 1)
S 0.355 0.930 0.791 (multiplicity 1)
S 0.899 0.260 0.782 (multiplicity 1)
S 0.903 0.764 0.291 (multiplicity 1)
O 0.001 0.683 0.398 (multiplicity 1)
O 0.036 0.377 0.843 (multiplicity 1)
O 0.037 0.887 0.214 (multiplicity 1)
O 0.227 0.812 0.719 (multiplicity 1)
O 0.233 0.293 0.363 (multiplicity 1)
O 0.247 0.506 0.185 (multiplicity 1)
O 0.250 0.003 0.900 (multiplicity 1)
O 0.422 0.052 0.694 (multiplicity 1)
O 0.433 0.531 0.385 (multiplicity 1)
O 0.517 0.315 0.226 (multiplicity 1)
O 0.519 0.820 0.842 (multiplicity 1)
O 0.735 0.374 0.732 (multiplicity 1)
O 0.749 0.885 0.350 (multiplicity 1)
O 0.831 0.658 0.192 (multiplicity 1)
O 0.835 0.146 0.885 (multiplicity 1)
O 0.982 0.173 0.669 (multiplicity 1)
F 0.091 0.019 0.449 (multiplicity 1)
F 0.126 0.187 0.115 (multiplicity 1)
F 0.126 0.657 0.945 (multiplicity 1)
F 0.145 0.503 0.615 (multiplicity 1)
F 0.381 0.999 0.269 (multiplicity 1)
F 0.393 0.501 0.795 (multiplicity 1)
F 0.591 0.144 0.451 (multiplicity 1)
F 0.619 0.673 0.616 (multiplicity 1)
F 0.687 0.022 0.115 (multiplicity 1)
F 0.697 0.552 0.949 (multiplicity 1)
F 0.871 0.201 0.286 (multiplicity 1)
F 0.887 0.701 0.760 (multiplicity 1)

Output
Energy of formation = -2.4393 eV/atom
Corrected total energy (MP2020 scheme) = -6.506 eV per atom
Magnetization = 4.00 Bohr magnetons per cell
Total DFT energy (no corrections) = -5.922 eV/atom

***

First-principles (PBE with a Hubbard U) data for a relaxed MgGa4W2O12 crystal, as listed in the Materials Project.

abc: 4.759 4.759 9.243
angles: 90.00 90.00 90.00
Space group P-4 (No. 81)
Symmetry-distinct sites (fractional):
Mg 0.000 0.000 0.000 (multiplicity 1)
Ga 0.000 0.500 0.582 (multiplicity 2)
Ga 0.000 0.500 0.902 (multiplicity 2)
W 0.000 0.500 0.258 (multiplicity 2)
O 0.196 0.307 0.418 (multiplicity 4)
O 0.197 0.292 0.753 (multiplicity 4)
O 0.197 0.307 0.082 (multiplicity 4)

Output
Energy of formation = -2.1643 eV/atom
Corrected total energy (MP2020 scheme) = -7.375 eV per atom
Magnetization = 2.00 Bohr magnetons per cell
Total DFT energy (no corrections) = -6.474 eV/atom

***

First-principles (PBE with a Hubbard U) data for a relaxed Y2MgV2O8 crystal, as listed in the Materials Project.

abc: 6.566 14.461 5.088
angles: 90.00 129.20 90.00
Space group C2 (No. 5)
Symmetry-distinct sites (fractional):
Y 0.000 0.000 0.000 (multiplicity 2)
Y 0.000 0.327 0.500 (multiplicity 2)
Mg 0.000 0.670 0.000 (multiplicity 2)
V 0.000 0.476 0.000 (multiplicity 2)
V 0.000 0.835 0.500 (multiplicity 2)
O 0.166 0.750 0.409 (multiplicity 4)
O 0.210 0.570 0.016 (multiplicity 4)
O 0.231 0.441 0.469 (multiplicity 4)
O 0.236 0.876 0.964 (multiplicity 4)

Output
Energy of formation = -3.0921 eV/atom
Corrected total energy (MP2020 scheme) = -8.652 eV per atom
Magnetization = 0.00 Bohr magnetons per cell
Total DFT energy (no corrections) = -7.968 eV/atom

***

First-principles (PBE with a Hubbard U) data for a relaxed Na2MnPO4F crystal, as listed in the Materials Project.

abc: 13.838 5.396 13.938
angles: 90.00 120.08 90.00
Space group P2_1/c (No. 14)
Symmetry-distinct sites (fractional):
Na 0.079 0.236 0.167 (multiplicity 4)
Na 0.165 0.736 0.828 (multiplicity 4)
Na 0.335 0.241 0.164 (multiplicity 4)
Na 0.420 0.739 0.087 (multiplicity 4)
Mn 0.077 0.229 0.901 (multiplicity 4)
Mn 0.423 0.728 0.824 (multiplicity 4)
P 0.162 0.718 0.077 (multiplicity 4)
P 0.338 0.215 0.916 (multiplicity 4)
O 0.096 0.700 0.635 (multiplicity 4)
O 0.117 0.646 0.464 (multiplicity 4)
O 0.150 0.069 0.557 (multiplicity 4)
O 0.212 0.217 0.365 (multiplicity 4)
O 0.288 0.717 0.652 (multiplicity 4)
O 0.348 0.572 0.405 (multiplicity 4)
O 0.386 0.147 0.351 (multiplicity 4)
O 0.403 0.211 0.540 (multiplicity 4)
F 0.001 0.502 0.236 (multiplicity 4)
F 0.491 0.000 0.759 (multiplicity 4)

Output
Energy of formation = -2.6667 eV/atom
Corrected total energy (MP2020 scheme) = -6.992 eV per atom
Magnetization = 39.99 Bohr magnetons per cell
Total DFT energy (no corrections) = -6.450 eV/atom

***

First-principles (PBE with a Hubbard U) data for a relaxed V5CrP6O24 crystal, as listed in the Materials Project.

abc: 8.6064 8.6064 20.8191
angles: 90.00 90.00 120.00
Space group R3 (No. 146, hexagonal axes)
Symmetry-distinct sites (fractional):
V 0.0000 0.0000 0.0000 (multiplicity 3)
V 0.0000 0.0000 0.1423 (multiplicity 3)
V 0.0000 0.0000 0.3562 (multiplicity 3)
V 0.0000 0.0000 0.4989 (multiplicity 3)
V 0.0000 0.0000 0.8557 (multiplicity 3)
Cr 0.0000 0.0000 0.6409 (multiplicity 3)
P 0.0004 0.7062 0.2489 (multiplicity 9)
P 0.0011 0.2925 0.7486 (multiplicity 9)
O 0.0039 0.8062 0.3103 (multiplicity 9)
O 0.0047 0.1950 0.8104 (multiplicity 9)
O 0.0152 0.8351 0.9227 (multiplicity 9)
O 0.0178 0.1832 0.4238 (multiplicity 9)
O 0.1378 0.4695 0.3544 (multiplicity 9)
O 0.1415 0.6741 0.8555 (multiplicity 9)
O 0.1664 0.4850 0.7425 (multiplicity 9)
O 0.1681 0.6833 0.2412 (multiplicity 9)

Output
Energy of formation = -2.6211 eV/atom
Corrected total energy (MP2020 scheme) = -8.352 eV per atom
Magnetization = 39.00 Bohr magnetons per cell
Total DFT energy (no corrections) = -7.602 eV/atom

***

First-principles (PBE with a Hubbard U) data for a relaxed Li7Mn5O12 crystal, as listed in the Materials Project.

abc: 5.073 2.999 14.499
angles: 90.00 92.65 90.00
Space group P2/m (No. 10)
Symmetry-distinct sites (fractional):
Li 0.000 0.000 0.000 (multiplicity 1)
Li 0.000 0.000 0.500 (multiplicity 1)
Li 0.174 0.500 0.168 (multiplicity 2)
Li 0.323 0.000 0.340 (multiplicity 2)
Li 0.500 0.500 0.500 (multiplicity 1)
Mn 0.163 0.500 0.660 (multiplicity 2)
Mn 0.337 0.000 0.831 (multiplicity 2)
Mn 0.500 0.500 0.000 (multiplicity 1)
O 0.034 0.000 0.744 (multiplicity 2)
O 0.145 0.500 0.409 (multiplicity 2)
O 0.184 0.500 0.919 (multiplicity 2)
O 0.314 0.000 0.594 (multiplicity 2)
O 0.353 0.000 0.086 (multiplicity 2)
O 0.480 0.500 0.750 (multiplicity 2)

Output
Energy of formation = -2.0995 eV/atom
Corrected total energy (MP2020 scheme) = -7.039 eV per atom
Magnetization = 18.00 Bohr magnetons per cell
Total DFT energy (no corrections) = -6.348 eV/atom

***

First-principles (PBE with a Hubbard U) data for a relaxed Ti4Mn2O crystal, as listed in the Materials Project.

abc: 11.889 11.889 11.889
angles: 90.00 90.00 90.00
Space group F-43m (No. 216)
Symmetry-distinct sites (fractional):
Ti 0.000 0.000 0.180 (multiplicity 24)
Ti 0.070 0.250 0.250 (multiplicity 24)
Ti 0.086 0.086 0.414 (multiplicity 16)
Mn 0.125 0.125 0.625 (multiplicity 16)
Mn 0.161 0.161 0.839 (multiplicity 16)
O 0.125 0.125 0.125 (multiplicity 16)

Output
Energy of formation = -0.5033 eV/atom
Corrected total energy (MP2020 scheme) = -8.340 eV per atom
Magnetization = 97.79 Bohr magnetons per cell
Total DFT energy (no corrections) = -7.765 eV/atom

***

First-principles (PBE with a Hubbard U) data for a relaxed Mn27Nb13O60 crystal, as listed in the Materials Project.

abc: 5.378 5.704 44.006
angles: 87.35 86.53 62.07
Space group P1 (No. 1)
Symmetry-distinct sites (fractional):
Mn 0.000 0.000 0.000 (multiplicity 1)
Mn 0.000 0.427 0.577 (multiplicity 1)
Mn 0.003 0.942 0.075 (multiplicity 1)
Mn 0.005 0.502 0.507 (multiplicity 1)
Mn 0.093 0.397 0.427 (multiplicity 1)
Mn 0.108 0.868 0.923 (multiplicity 1)
Mn 0.198 0.337 0.276 (multiplicity 1)
Mn 0.203 0.896 0.706 (multiplicity 1)
Mn 0.220 0.813 0.774 (multiplicity 1)
Mn 0.294 0.286 0.126 (multiplicity 1)
Mn 0.297 0.787 0.628 (multiplicity 1)
Mn 0.383 0.739 0.480 (multiplicity 1)
Mn 0.406 0.292 0.901 (multiplicity 1)
Mn 0.411 0.225 0.972 (multiplicity 1)
Mn 0.494 0.690 0.326 (multiplicity 1)
Mn 0.497 0.273 0.755 (multiplicity 1)
Mn 0.503 0.168 0.822 (multiplicity 1)
Mn 0.596 0.639 0.176 (multiplicity 1)
Mn 0.600 0.201 0.606 (multiplicity 1)
Mn 0.605 0.112 0.678 (multiplicity 1)
Mn 0.694 0.590 0.023 (multiplicity 1)
Mn 0.698 0.085 0.530 (multiplicity 1)
Mn 0.795 0.046 0.376 (multiplicity 1)
Mn 0.799 0.604 0.802 (multiplicity 1)
Mn 0.807 0.523 0.874 (multiplicity 1)
Mn 0.896 0.988 0.226 (multiplicity 1)
Mn 0.925 0.444 0.726 (multiplicity 1)
Nb 0.089 0.472 0.355 (multiplicity 1)
Nb 0.092 0.962 0.852 (multiplicity 1)
Nb 0.192 0.419 0.204 (multiplicity 1)
Nb 0.297 0.860 0.557 (multiplicity 1)
Nb 0.306 0.361 0.051 (multiplicity 1)
Nb 0.397 0.817 0.406 (multiplicity 1)
Nb 0.492 0.770 0.255 (multiplicity 1)
Nb 0.596 0.714 0.103 (multiplicity 1)
Nb 0.683 0.160 0.459 (multiplicity 1)
Nb 0.699 0.662 0.952 (multiplicity 1)
Nb 0.792 0.121 0.305 (multiplicity 1)
Nb 0.891 0.070 0.154 (multiplicity 1)
Nb 0.904 0.551 0.656 (multiplicity 1)
O 0.051 0.818 0.332 (multiplicity 1)
O 0.062 0.013 0.268 (multiplicity 1)
O 0.065 0.320 0.835 (multiplicity 1)
O 0.071 0.536 0.764 (multiplicity 1)
O 0.079 0.700 0.882 (multiplicity 1)
O 0.107 0.169 0.381 (multiplicity 1)
O 0.107 0.514 0.944 (multiplicity 1)
O 0.107 0.990 0.441 (multiplicity 1)
O 0.120 0.140 0.894 (multiplicity 1)
O 0.152 0.786 0.519 (multiplicity 1)
O 0.171 0.270 0.018 (multiplicity 1)
O 0.173 0.641 0.392 (multiplicity 1)
O 0.255 0.709 0.036 (multiplicity 1)
O 0.265 0.927 0.962 (multiplicity 1)
O 0.275 0.204 0.534 (multiplicity 1)
O 0.281 0.414 0.465 (multiplicity 1)
O 0.286 0.579 0.583 (multiplicity 1)
O 0.301 0.397 0.646 (multiplicity 1)
O 0.304 0.079 0.083 (multiplicity 1)
O 0.314 0.895 0.143 (multiplicity 1)
O 0.347 0.030 0.594 (multiplicity 1)
O 0.351 0.188 0.717 (multiplicity 1)
O 0.364 0.546 0.095 (multiplicity 1)
O 0.365 0.663 0.218 (multiplicity 1)
O 0.453 0.119 0.232 (multiplicity 1)
O 0.457 0.832 0.668 (multiplicity 1)
O 0.465 0.309 0.168 (multiplicity 1)
O 0.479 0.991 0.784 (multiplicity 1)
O 0.501 0.812 0.844 (multiplicity 1)
O 0.503 0.596 0.734 (multiplicity 1)
O 0.504 0.469 0.282 (multiplicity 1)
O 0.509 0.289 0.343 (multiplicity 1)
O 0.542 0.434 0.793 (multiplicity 1)
O 0.562 0.065 0.417 (multiplicity 1)
O 0.564 0.939 0.293 (multiplicity 1)
O 0.577 0.570 0.916 (multiplicity 1)
O 0.654 0.227 0.861 (multiplicity 1)
O 0.658 0.520 0.429 (multiplicity 1)
O 0.658 0.717 0.368 (multiplicity 1)
O 0.673 0.007 0.933 (multiplicity 1)
O 0.680 0.398 0.982 (multiplicity 1)
O 0.695 0.861 0.479 (multiplicity 1)
O 0.698 0.695 0.544 (multiplicity 1)
O 0.701 0.189 0.045 (multiplicity 1)
O 0.730 0.847 0.992 (multiplicity 1)
O 0.755 0.328 0.491 (multiplicity 1)
O 0.761 0.489 0.620 (multiplicity 1)
O 0.771 0.954 0.118 (multiplicity 1)
O 0.845 0.424 0.132 (multiplicity 1)
O 0.857 0.606 0.068 (multiplicity 1)
O 0.863 0.918 0.639 (multiplicity 1)
O 0.878 0.123 0.568 (multiplicity 1)
O 0.878 0.285 0.683 (multiplicity 1)
O 0.907 0.766 0.182 (multiplicity 1)
O 0.911 0.588 0.243 (multiplicity 1)
O 0.933 0.099 0.744 (multiplicity 1)
O 0.938 0.727 0.697 (multiplicity 1)
O 0.964 0.362 0.318 (multiplicity 1)
O 0.965 0.239 0.193 (multiplicity 1)
O 0.975 0.871 0.816 (multiplicity 1)

Output
Energy of formation = -2.3982 eV/atom
Corrected total energy (MP2020 scheme) = -9.154 eV per atom
Magnetization = 124.15 Bohr magnetons per cell
Total DFT energy (no corrections) = -8.291 eV/atom

***

total DFT energy (no corrections) of number 2 (MgGa4W2O12)?
-6.474 eV/atom

***

Copy entry 5 word for word.
First-principles (PBE with a Hubbard U) data for a relaxed V5CrP6O24 crystal, as listed in the Materials Project.

abc: 8.6064 8.6064 20.8191
angles: 90.00 90.00 120.00
Space group R3 (No. 146, hexagonal axes)
Symmetry-distinct sites (fractional):
V 0.0000 0.0000 0.0000 (multiplicity 3)
V 0.0000 0.0000 0.1423 (multiplicity 3)
V 0.0000 0.0000 0.3562 (multiplicity 3)
V 0.0000 0.0000 0.4989 (multiplicity 3)
V 0.0000 0.0000 0.8557 (multiplicity 3)
Cr 0.0000 0.0000 0.6409 (multiplicity 3)
P 0.0004 0.7062 0.2489 (multiplicity 9)
P 0.0011 0.2925 0.7486 (multiplicity 9)
O 0.0039 0.8062 0.3103 (multiplicity 9)
O 0.0047 0.1950 0.8104 (multiplicity 9)
O 0.0152 0.8351 0.9227 (multiplicity 9)
O 0.0178 0.1832 0.4238 (multiplicity 9)
O 0.1378 0.4695 0.3544 (multiplicity 9)
O 0.1415 0.6741 0.8555 (multiplicity 9)
O 0.1664 0.4850 0.7425 (multiplicity 9)
O 0.1681 0.6833 0.2412 (multiplicity 9)

Output
Energy of formation = -2.6211 eV/atom
Corrected total energy (MP2020 scheme) = -8.352 eV per atom
Magnetization = 39.00 Bohr magnetons per cell
Total DFT energy (no corrections) = -7.602 eV/atom